Here is a geometry-optimized Ho2CuGe4 structure from Materials Project. Energies are from PBE.

Cell and atoms, written as POSCAR:
```
Ho2CuGe4
1.0
3.796 -1.393 0.100
-0.805 -1.944 3.469
-2.776 -7.753 -2.618
Ge Ho Cu
4 2 1
Direct
0.250 0.538 0.925
0.250 0.260 0.480
0.750 0.447 0.105
0.750 0.759 0.483
0.250 0.894 0.213
0.750 0.104 0.791
0.250 0.677 0.647
```

Summary:
magnetic moment: 0.0 μB/cell
space group: No. 38
raw total energy: -5.101 eV per atom
energy of formation: -3.9 eV per formula unit